[1]
VASP calculation (PBE) on crystalline U5P4S at its relaxed geometry.

Cell and atoms, written as POSCAR:
```
U5P4S
1.0
1.964 1.134 15.822
-1.964 1.134 15.822
0.000 -2.267 15.822
U P S
5 4 1
Cartesian
0.000 0.000 0.000 U
0.000 0.000 9.479 U
0.000 0.000 19.004 U
0.000 0.000 28.464 U
0.000 0.000 37.988 U
0.000 0.000 4.764 P
0.000 0.000 14.237 P
0.000 0.000 33.230 P
0.000 0.000 42.703 P
0.000 0.000 23.734 S
```

- Formation energy from the elements: -1104 meV/atom
- M_tot: 9.92 μB per cell


[2]
VASP calculation (PBE) on crystalline Rb2NaScCl6 at its relaxed geometry.

Cell and atoms, written as POSCAR:
```
Rb2NaScCl6
1.0
0.000 5.261 5.261
5.261 0.000 5.261
5.261 5.261 0.000
Rb Na Sc Cl
2 1 1 6
Cartesian
2.631 2.631 2.631 Rb
7.892 7.892 7.892 Rb
0.000 0.000 0.000 Na
5.261 5.261 5.261 Sc
5.261 5.261 2.763 Cl
5.261 2.763 5.261 Cl
7.759 5.261 5.261 Cl
2.763 5.261 5.261 Cl
5.261 7.759 5.261 Cl
5.261 5.261 7.759 Cl
```

- Formation energy from the elements: -2404 meV/atom